No. 1
The following is a DFT calculation (PBE) of BaCaSmSbO6 after structural relaxation.

Properties
**Symmetry**: P222, No. 16
**Energy above the most stable polymorph in this dataset**: 0.0 meV per atom
**Energy of formation from the pure elements**: -3.01 eV per atom

a = 8.4499 Å, b = 8.4460 Å, c = 8.4720 Å
α = 90.00°, β = 90.00°, γ = 90.00°
Closest atoms and distances in Å follow each position.
Positions (direct):
O1 0.0149 0.7730 0.2815  1 Sb 2.01
O2 0.2727 0.0196 0.7816  1 Sb 2.03
O3 0.2114 0.5150 0.3066  1 Sb 2.01
O4 0.7914 0.7024 0.9824  1 Sb 2.04
O5 0.9851 0.2270 0.2815  1 Sb 2.01
O6 0.2086 0.2976 0.9824  1 Sb 2.04
O7 0.6975 0.2116 0.4821  1 Sb 2.04
O8 0.9851 0.7730 0.7185  1 Sb 2.01
O9 0.0149 0.2270 0.7185  1 Sb 2.01
O10 0.3025 0.7884 0.4821  1 Sb 2.04
O11 0.2086 0.7024 0.0176  1 Sb 2.04
O12 0.7273 0.9804 0.7816  1 Sb 2.03
O13 0.4807 0.7006 0.2045  1 Sb 2.03
O14 0.2727 0.9804 0.2184  1 Sb 2.03
O15 0.3025 0.2116 0.5179  1 Sb 2.04
O16 0.7886 0.4850 0.3066  1 Sb 2.01
O17 0.5193 0.2994 0.2045  1 Sb 2.03
O18 0.6975 0.7884 0.5179  1 Sb 2.04
O19 0.5193 0.7006 0.7955  1 Sb 2.03
O20 0.7273 0.0196 0.2184  1 Sb 2.03
O21 0.7886 0.5150 0.6934  1 Sb 2.01
O22 0.4807 0.2994 0.7955  1 Sb 2.03
O23 0.2114 0.4850 0.6934  1 Sb 2.01
O24 0.7914 0.2976 0.0176  1 Sb 2.04
Sb1 0.2491 0.2566 0.7484  6 O 2.01-2.04
Sb2 0.7509 0.2566 0.2516  6 O 2.01-2.04
Sb3 0.2491 0.7434 0.2516  6 O 2.01-2.04
Sb4 0.7509 0.7434 0.7484  6 O 2.01-2.04
Sm1 0.7483 0.7453 0.2510  6 O 2.27-2.34
Sm2 0.7483 0.2547 0.7490  6 O 2.27-2.34
Sm3 0.2517 0.7453 0.7490  6 O 2.27-2.34
Sm4 0.2517 0.2547 0.2510  6 O 2.27-2.34
Ba1 0.0000 0.0000 0.0000  12 O 2.96-3.07
Ba2 0.5000 0.0000 0.0000  4 O 2.67
Ba3 0.5000 0.5000 0.5000  12 O 2.94-3.03
Ba4 0.0000 0.0000 0.5000  4 O 2.67
Ca1 0.0000 0.5000 0.5000  4 O 2.43
Ca2 0.5000 0.5000 0.0000  4 O 2.43
Ca3 0.0000 0.5000 0.0000  4 O 2.46
Ca4 0.5000 0.0000 0.5000  4 O 2.45

***

No. 2
The following is a DFT calculation (PBE) of BaCaSmSbO6 after structural relaxation.

Properties
**Symmetry**: F-43m, No. 216
**Energy above the most stable polymorph in this dataset**: 73.5 meV per atom
**Energy of formation from the pure elements**: -2.94 eV per atom

a = 6.0318 Å, b = 6.0318 Å, c = 6.0318 Å
α = 60.00°, β = 60.00°, γ = 60.00°
Closest atoms and distances in Å follow each position.
Positions (direct):
O1 0.2344 0.7656 0.7656  1 Sb 2.00
O2 0.7656 0.2344 0.2344  1 Sb 2.00
O3 0.2344 0.7656 0.2344  1 Sb 2.00
O4 0.2344 0.2344 0.7656  1 Sb 2.00
O5 0.7656 0.2344 0.7656  1 Sb 2.00
O6 0.7656 0.7656 0.2344  1 Sb 2.00
Sb1 0.0000 0.0000 0.0000  6 O 2.00
Sm1 0.5000 0.5000 0.5000  6 O 2.27
Ba1 0.7500 0.7500 0.7500  12 O 3.02
Ca1 0.2500 0.2500 0.2500  12 O 3.02

***

No. 3
The following is a DFT calculation (PBE) of BaCaTbSbO6 after structural relaxation.

Properties
**Symmetry**: F-43m, No. 216
**Energy of formation from the pure elements**: -2.99 eV per atom

a = 5.9722 Å, b = 5.9722 Å, c = 5.9722 Å
α = 60.00°, β = 60.00°, γ = 60.00°
Closest atoms and distances in Å follow each position.
Positions (direct):
Sb1 0.0000 0.0000 0.0000  6 O 2.00
O1 0.7634 0.2366 0.2366  1 Sb 2.00, 1 Tb 2.22
O2 0.2366 0.7634 0.7634  1 Sb 2.00, 1 Tb 2.22
O3 0.2366 0.2366 0.7634  1 Sb 2.00, 1 Tb 2.22
O4 0.7634 0.7634 0.2366  1 Sb 2.00, 1 Tb 2.22
O5 0.7634 0.2366 0.7634  1 Sb 2.00, 1 Tb 2.22
O6 0.2366 0.7634 0.2366  1 Sb 2.00, 1 Tb 2.22
Tb1 0.5000 0.5000 0.5000  6 O 2.22
Ba1 0.2500 0.2500 0.2500  12 O 2.99
Ca1 0.7500 0.7500 0.7500  12 O 2.99

***

No. 4
The following is a DFT calculation (PBE) of BaCaYSbO6 after structural relaxation.

Properties
**Symmetry**: F-43m, No. 216
**Energy of formation from the pure elements**: -2.99 eV per atom

a = 5.9602 Å, b = 5.9602 Å, c = 5.9602 Å
α = 60.00°, β = 60.00°, γ = 60.00°
Closest atoms and distances in Å follow each position.
Positions (direct):
O1 0.2370 0.7630 0.7630  1 Sb 2.00, 1 Y 2.22
O2 0.2370 0.2370 0.7630  1 Sb 2.00, 1 Y 2.22
O3 0.7630 0.2370 0.7630  1 Sb 2.00, 1 Y 2.22
O4 0.2370 0.7630 0.2370  1 Sb 2.00, 1 Y 2.22
O5 0.7630 0.2370 0.2370  1 Sb 2.00, 1 Y 2.22
O6 0.7630 0.7630 0.2370  1 Sb 2.00, 1 Y 2.22
Ca1 0.2500 0.2500 0.2500  12 O 2.98
Sb1 0.0000 0.0000 0.0000  6 O 2.00
Ba1 0.7500 0.7500 0.7500  12 O 2.98
Y1 0.5000 0.5000 0.5000  6 O 2.22